Version a
The following is a DFT calculation (GGA-PBE) of a relaxed structure of MgB4H20N2.

Values from the calculation:
As for the space-group type: No. 19. As for the crystal system: orthorhombic. As for the total moment: 0.000 μB per formula unit.

Cell lengths 5.3013, 13.4771, 14.0447 Å; angles 90.00, 90.00, 90.00 degrees
Closest atoms and distances in Å follow each position.
Fractional positions:
Mg 0.1887 0.0040 0.3712  7 H 1.96-2.15
Mg 0.3113 0.9960 0.8712  7 H 1.96-2.15
Mg 0.6887 0.4960 0.6288  7 H 1.96-2.15
Mg 0.8113 0.5040 0.1288  7 H 1.96-2.15
B 0.0003 0.1060 0.2543  4 H 1.21-1.24
B 0.9997 0.6060 0.2457  4 H 1.21-1.24
B 0.0388 0.9017 0.4971  4 H 1.21-1.24
B 0.0480 0.1312 0.7660  3 H 1.21-1.24
B 0.0921 0.8700 0.9670  3 H 1.21-1.24
B 0.4079 0.1300 0.4670  3 H 1.21-1.24
B 0.4520 0.8688 0.2660  3 H 1.21-1.24
B 0.4612 0.0983 0.9971  4 H 1.21-1.24
B 0.5003 0.3940 0.7457  4 H 1.21-1.24
B 0.4997 0.8940 0.7543  4 H 1.21-1.24
B 0.5388 0.5983 0.5029  4 H 1.21-1.24
B 0.5480 0.3688 0.2340  3 H 1.21-1.24
B 0.5921 0.6300 0.0330  3 H 1.21-1.24
B 0.9079 0.3700 0.5330  3 H 1.21-1.24
B 0.9520 0.6312 0.7340  3 H 1.21-1.24
B 0.9612 0.4017 0.0029  4 H 1.21-1.24
H 0.0024 0.4403 0.5768  1 B 1.24
H 0.0238 0.7944 0.9290  1 B 1.21
H 0.0364 0.9423 0.1068  1 N 1.03
H 0.0533 0.1588 0.6838  1 B 1.21
H 0.0535 0.6940 0.2503  1 B 1.22
H 0.0550 0.8203 0.1144  1 N 1.03
H 0.0594 0.3204 0.0084  1 B 1.22
H 0.0614 0.5598 0.3162  1 B 1.21
H 0.0713 0.9320 0.5775  1 B 1.21
H 0.0758 0.6995 0.5983  1 N 1.03
H 0.0936 0.2761 0.8370  1 N 1.03
H 0.0941 0.5615 0.7233  1 B 1.21
H 0.0987 0.4611 0.0464  1 B 1.24
H 0.1155 0.5730 0.1760  1 B 1.24
H 0.1769 0.1257 0.4701  1 B 1.23
H 0.2015 0.7539 0.6916  1 N 1.03
H 0.2059 0.3730 0.4249  1 N 1.02
H 0.2301 0.8886 0.2860  1 B 1.24
H 0.2323 0.1000 0.2648  1 B 1.24
H 0.2502 0.1058 0.9593  1 B 1.24
H 0.2498 0.8942 0.4593  1 B 1.24
H 0.2677 0.9000 0.7648  1 B 1.24
H 0.2699 0.1114 0.7860  1 B 1.24
H 0.2941 0.6270 0.9249  1 N 1.02
H 0.2985 0.2461 0.1916  1 N 1.03
H 0.3231 0.8743 0.9701  1 B 1.23
H 0.3845 0.4270 0.6760  1 B 1.24
H 0.4013 0.5389 0.5464  1 B 1.24
H 0.4059 0.4385 0.2233  1 B 1.21
H 0.4064 0.7239 0.3370  1 N 1.03
H 0.4242 0.3005 0.0983  1 N 1.03
H 0.4287 0.0680 0.0775  1 B 1.21
H 0.4386 0.4402 0.8162  1 B 1.21
H 0.4406 0.6796 0.5084  1 B 1.22
H 0.4450 0.1797 0.6144  1 N 1.03
H 0.4465 0.3060 0.7503  1 B 1.22
H 0.4467 0.8412 0.1838  1 B 1.21
H 0.4636 0.0577 0.6068  1 N 1.03
H 0.4762 0.2056 0.4290  1 B 1.21
H 0.4976 0.5597 0.0768  1 B 1.24
H 0.5024 0.0597 0.4232  1 B 1.24
H 0.5238 0.7056 0.0710  1 B 1.21
H 0.5364 0.5577 0.8932  1 N 1.03
H 0.5533 0.3412 0.3162  1 B 1.21
H 0.5535 0.8060 0.7497  1 B 1.22
H 0.5550 0.6797 0.8856  1 N 1.03
H 0.5594 0.1796 0.9916  1 B 1.22
H 0.5614 0.9402 0.6838  1 B 1.21
H 0.5713 0.5680 0.4225  1 B 1.21
H 0.5758 0.8005 0.4017  1 N 1.03
H 0.5936 0.2239 0.1630  1 N 1.03
H 0.5941 0.9385 0.2767  1 B 1.21
H 0.5987 0.0389 0.9536  1 B 1.24
H 0.6155 0.9270 0.8240  1 B 1.24
H 0.6769 0.3743 0.5299  1 B 1.23
H 0.7015 0.7461 0.3084  1 N 1.03
H 0.7059 0.1270 0.5751  1 N 1.02
H 0.7301 0.6114 0.7140  1 B 1.24
H 0.7323 0.4000 0.7352  1 B 1.24
H 0.7502 0.3942 0.0407  1 B 1.24
H 0.7498 0.6058 0.5407  1 B 1.24
H 0.7677 0.6000 0.2352  1 B 1.24
H 0.7699 0.3886 0.2140  1 B 1.24
H 0.7941 0.8730 0.0751  1 N 1.02
H 0.7985 0.2539 0.8084  1 N 1.03
H 0.8231 0.6257 0.0299  1 B 1.23
H 0.8845 0.0730 0.3240  1 B 1.24
H 0.9013 0.9611 0.4536  1 B 1.24
H 0.9059 0.0615 0.7767  1 B 1.21
H 0.9064 0.7761 0.6630  1 N 1.03
H 0.9242 0.1995 0.9017  1 N 1.03
H 0.9287 0.4320 0.9225  1 B 1.21
H 0.9386 0.0598 0.1838  1 B 1.21
H 0.9406 0.8204 0.4916  1 B 1.22
H 0.9450 0.3203 0.3856  1 N 1.03
H 0.9465 0.1940 0.2497  1 B 1.22
H 0.9467 0.6588 0.8162  1 B 1.21
H 0.9636 0.4423 0.3932  1 N 1.03
H 0.9762 0.2944 0.5710  1 B 1.21
H 0.9976 0.9403 0.9232  1 B 1.24
N 0.0131 0.3772 0.4271  3 H 1.02-1.03
N 0.0386 0.7208 0.6674  3 H 1.03
N 0.4614 0.2792 0.1674  3 H 1.03
N 0.4869 0.6228 0.9271  3 H 1.02-1.03
N 0.5131 0.1228 0.5729  3 H 1.02-1.03
N 0.5386 0.7792 0.3326  3 H 1.03
N 0.9614 0.2208 0.8326  3 H 1.03
N 0.9869 0.8772 0.0729  3 H 1.02-1.03

***

Version b
The following is a DFT calculation (GGA-PBE) of a relaxed structure of MgB4H20N2.

Values from the calculation:
As for the space-group type: No. 19. As for the crystal system: orthorhombic. As for the total moment: 0.000 μB per formula unit.

Cell lengths 5.1984, 13.2759, 14.4946 Å; angles 90.00, 90.00, 90.00 degrees
Closest atoms and distances in Å follow each position.
Fractional positions:
Mg 0.2112 0.0082 0.3711  8 H 1.97-2.11
Mg 0.2888 0.9918 0.8711  8 H 1.97-2.11
Mg 0.7112 0.4918 0.6289  8 H 1.97-2.11
Mg 0.7888 0.5082 0.1289  8 H 1.97-2.11
B 0.0329 0.9075 0.4922  4 H 1.21-1.25
B 0.0439 0.1174 0.2530  4 H 1.22-1.24
B 0.0764 0.8603 0.9678  3 H 1.21-1.23
B 0.0996 0.1332 0.7792  3 H 1.21-1.23
B 0.4004 0.8668 0.2792  3 H 1.21-1.23
B 0.4236 0.1397 0.4678  3 H 1.21-1.23
B 0.4561 0.8826 0.7530  4 H 1.22-1.24
B 0.4671 0.0925 0.9922  4 H 1.21-1.25
B 0.5329 0.5925 0.5078  4 H 1.21-1.25
B 0.5439 0.3826 0.7470  4 H 1.22-1.24
B 0.5764 0.6397 0.0322  3 H 1.21-1.23
B 0.5996 0.3668 0.2208  3 H 1.21-1.23
B 0.9004 0.6332 0.7208  3 H 1.21-1.23
B 0.9236 0.3603 0.5322  3 H 1.21-1.23
B 0.9561 0.6174 0.2470  4 H 1.22-1.24
B 0.9671 0.4075 0.0078  4 H 1.21-1.25
H 0.0153 0.4391 0.9311  1 B 1.21
H 0.0194 0.7747 0.9487  1 B 1.21
H 0.0224 0.3192 0.0191  1 B 1.22
H 0.0221 0.9581 0.0890  1 N 1.03
H 0.0334 0.5673 0.6849  1 B 1.23
H 0.0405 0.4180 0.5837  1 B 1.23
H 0.0423 0.1398 0.6984  1 B 1.21
H 0.0454 0.2073 0.2714  1 B 1.22
H 0.0467 0.5995 0.3227  1 B 1.22
H 0.0479 0.2323 0.9002  1 N 1.03
H 0.0831 0.8400 0.1174  1 N 1.03
H 0.0921 0.5743 0.1891  1 B 1.24
H 0.0957 0.4570 0.0641  1 B 1.24
H 0.1317 0.7657 0.6892  1 N 1.03
H 0.1684 0.8844 0.2856  1 B 1.23
H 0.1806 0.2897 0.8115  1 N 1.03
H 0.1892 0.1293 0.4641  1 B 1.23
H 0.2054 0.3713 0.4207  1 N 1.03
H 0.2311 0.0830 0.9789  1 B 1.25
H 0.2313 0.9138 0.7533  1 B 1.24
H 0.2687 0.0862 0.2533  1 B 1.24
H 0.2689 0.9170 0.4789  1 B 1.25
H 0.2946 0.6287 0.9207  1 N 1.03
H 0.3108 0.8707 0.9641  1 B 1.23
H 0.3194 0.7103 0.3115  1 N 1.03
H 0.3316 0.1156 0.7856  1 B 1.23
H 0.3683 0.2343 0.1892  1 N 1.03
H 0.4043 0.5430 0.5641  1 B 1.24
H 0.4079 0.4257 0.6891  1 B 1.24
H 0.4169 0.1600 0.6174  1 N 1.03
H 0.4521 0.7677 0.4002  1 N 1.03
H 0.4533 0.4005 0.8227  1 B 1.22
H 0.4546 0.7927 0.7714  1 B 1.22
H 0.4577 0.8602 0.1984  1 B 1.21
H 0.4595 0.5820 0.0837  1 B 1.23
H 0.4666 0.4327 0.1849  1 B 1.23
H 0.4779 0.0419 0.5890  1 N 1.03
H 0.4776 0.6808 0.5191  1 B 1.22
H 0.4806 0.2253 0.4487  1 B 1.21
H 0.4847 0.5609 0.4311  1 B 1.21
H 0.5153 0.0609 0.0689  1 B 1.21
H 0.5194 0.7253 0.0513  1 B 1.21
H 0.5224 0.1808 0.9809  1 B 1.22
H 0.5221 0.5419 0.9110  1 N 1.03
H 0.5334 0.9327 0.3151  1 B 1.23
H 0.5405 0.0820 0.4163  1 B 1.23
H 0.5423 0.3602 0.3016  1 B 1.21
H 0.5454 0.2927 0.7286  1 B 1.22
H 0.5467 0.9005 0.6773  1 B 1.22
H 0.5479 0.2677 0.0998  1 N 1.03
H 0.5831 0.6600 0.8826  1 N 1.03
H 0.5921 0.9257 0.8109  1 B 1.24
H 0.5957 0.0430 0.9359  1 B 1.24
H 0.6317 0.7343 0.3108  1 N 1.03
H 0.6684 0.6156 0.7144  1 B 1.23
H 0.6806 0.2103 0.1885  1 N 1.03
H 0.6892 0.3707 0.5359  1 B 1.23
H 0.7054 0.1287 0.5793  1 N 1.03
H 0.7311 0.4170 0.0211  1 B 1.25
H 0.7313 0.5862 0.2467  1 B 1.24
H 0.7687 0.4138 0.7467  1 B 1.24
H 0.7689 0.5830 0.5211  1 B 1.25
H 0.7946 0.8713 0.0793  1 N 1.03
H 0.8108 0.6293 0.0359  1 B 1.23
H 0.8194 0.7897 0.6885  1 N 1.03
H 0.8316 0.3844 0.2144  1 B 1.23
H 0.8683 0.2657 0.8108  1 N 1.03
H 0.9043 0.9570 0.4359  1 B 1.24
H 0.9079 0.0743 0.3109  1 B 1.24
H 0.9169 0.3400 0.3826  1 N 1.03
H 0.9521 0.7323 0.5998  1 N 1.03
H 0.9533 0.0995 0.1773  1 B 1.22
H 0.9546 0.7073 0.2286  1 B 1.22
H 0.9577 0.6398 0.8016  1 B 1.21
H 0.9595 0.9180 0.9163  1 B 1.23
H 0.9666 0.0673 0.8151  1 B 1.23
H 0.9779 0.4581 0.4110  1 N 1.03
H 0.9776 0.8192 0.4809  1 B 1.22
H 0.9806 0.2747 0.5513  1 B 1.21
H 0.9847 0.9391 0.5689  1 B 1.21
N 0.0118 0.3846 0.4295  3 H 1.03
N 0.0446 0.2366 0.8292  3 H 1.03
N 0.4554 0.7634 0.3292  3 H 1.03
N 0.4882 0.6154 0.9295  3 H 1.03
N 0.5118 0.1154 0.5705  3 H 1.03
N 0.5446 0.2634 0.1708  3 H 1.03
N 0.9554 0.7366 0.6708  3 H 1.03
N 0.9882 0.8846 0.0705  3 H 1.03

***

If you had to name the least stable structure above, which would it be? It would be version a.